Record 1
DFT (PBE) results for Ac2MgTl after structural relaxation.

Cell lengths 8.261, 8.261, 8.261 Å; angles 90.00, 90.00, 90.00 degrees
Space group Fm-3m (No. 225)
Unique sites:
Ac (0.250, 0.250, 0.250) [8 per cell]
Mg (0.000, 0.000, 0.000) [4 per cell]
Tl (0.000, 0.000, 0.500) [4 per cell]

Output
ΔH_f (0 K) ... -0.2090 eV per atom
Crystal system ... cubic



Record 2
DFT (PBE) results for Na3Mg3InS6O24 after structural relaxation.

Cell lengths 8.783, 8.997, 15.234 Å; angles 73.65, 89.99, 60.80 degrees
Space group P1 (No. 1)
Unique sites:
Na (0.000, 0.000, 0.000) [1 per cell]
Na (0.017, 0.705, 0.872) [1 per cell]
Na (0.281, 0.484, 0.731) [1 per cell]
Na (0.476, 0.711, 0.050) [1 per cell]
Na (0.512, 0.991, 0.491) [1 per cell]
Na (0.778, 0.487, 0.255) [1 per cell]
Mg (0.041, 0.936, 0.667) [1 per cell]
Mg (0.237, 0.534, 0.073) [1 per cell]
Mg (0.480, 0.052, 0.817) [1 per cell]
Mg (0.539, 0.946, 0.168) [1 per cell]
Mg (0.792, 0.427, 0.918) [1 per cell]
Mg (0.982, 0.052, 0.312) [1 per cell]
In (0.289, 0.437, 0.417) [1 per cell]
In (0.736, 0.544, 0.566) [1 per cell]
S (0.188, 0.238, 0.619) [1 per cell]
S (0.238, 0.241, 0.968) [1 per cell]
S (0.239, 0.238, 0.266) [1 per cell]
S (0.281, 0.745, 0.515) [1 per cell]
S (0.287, 0.745, 0.216) [1 per cell]
S (0.343, 0.741, 0.866) [1 per cell]
S (0.682, 0.249, 0.117) [1 per cell]
S (0.743, 0.238, 0.467) [1 per cell]
S (0.744, 0.230, 0.769) [1 per cell]
S (0.782, 0.743, 0.721) [1 per cell]
S (0.784, 0.744, 0.014) [1 per cell]
S (0.837, 0.747, 0.364) [1 per cell]
O (0.007, 0.570, 0.388) [1 per cell]
O (0.017, 0.414, 0.594) [1 per cell]
O (0.066, 0.249, 0.959) [1 per cell]
O (0.074, 0.234, 0.279) [1 per cell]
O (0.149, 0.902, 0.236) [1 per cell]
O (0.161, 0.085, 0.641) [1 per cell]
O (0.162, 0.897, 0.435) [1 per cell]
O (0.195, 0.406, 0.192) [1 per cell]
O (0.211, 0.407, 0.986) [1 per cell]
O (0.211, 0.754, 0.603) [1 per cell]
O (0.221, 0.734, 0.129) [1 per cell]
O (0.236, 0.747, 0.787) [1 per cell]
O (0.247, 0.732, 0.948) [1 per cell]
O (0.284, 0.236, 0.537) [1 per cell]
O (0.292, 0.232, 0.697) [1 per cell]
O (0.309, 0.239, 0.879) [1 per cell]
O (0.314, 0.236, 0.356) [1 per cell]
O (0.320, 0.568, 0.507) [1 per cell]
O (0.344, 0.575, 0.294) [1 per cell]
O (0.354, 0.904, 0.847) [1 per cell]
O (0.361, 0.077, 0.045) [1 per cell]
O (0.373, 0.077, 0.247) [1 per cell]
O (0.451, 0.754, 0.201) [1 per cell]
O (0.453, 0.744, 0.523) [1 per cell]
O (0.507, 0.420, 0.095) [1 per cell]
O (0.519, 0.578, 0.887) [1 per cell]
O (0.572, 0.238, 0.462) [1 per cell]
O (0.577, 0.228, 0.779) [1 per cell]
O (0.645, 0.906, 0.738) [1 per cell]
O (0.659, 0.092, 0.138) [1 per cell]
O (0.669, 0.908, 0.935) [1 per cell]
O (0.697, 0.397, 0.690) [1 per cell]
O (0.705, 0.415, 0.475) [1 per cell]
O (0.709, 0.754, 0.102) [1 per cell]
O (0.714, 0.739, 0.631) [1 per cell]
O (0.731, 0.756, 0.286) [1 per cell]
O (0.743, 0.746, 0.447) [1 per cell]
O (0.775, 0.253, 0.036) [1 per cell]
O (0.786, 0.240, 0.197) [1 per cell]
O (0.798, 0.584, 0.996) [1 per cell]
O (0.811, 0.242, 0.855) [1 per cell]
O (0.814, 0.227, 0.381) [1 per cell]
O (0.829, 0.579, 0.798) [1 per cell]
O (0.862, 0.087, 0.548) [1 per cell]
O (0.865, 0.899, 0.344) [1 per cell]
O (0.882, 0.066, 0.752) [1 per cell]
O (0.949, 0.749, 0.711) [1 per cell]
O (0.961, 0.728, 0.023) [1 per cell]

Output
Relative energy among the computed polymorphs ... 0.000 eV/atom
ΔH_f (0 K) ... -2.2560 eV per atom
Crystal system ... triclinic
Spin magnetization ... 0.00 μB per atom



Record 3
DFT (PBE) results for Fe4IrN4 after structural relaxation.

Cell lengths 5.416, 5.646, 6.625 Å; angles 91.87, 103.68, 117.36 degrees
Space group P-1 (No. 2)
Unique sites:
Fe (0.034, 0.321, 0.092) [2 per cell]
Fe (0.271, 0.587, 0.471) [2 per cell]
Fe (0.310, 0.054, 0.718) [2 per cell]
Fe (0.411, 0.658, 0.924) [2 per cell]
Ir (0.209, 0.006, 0.278) [2 per cell]
N (0.143, 0.673, 0.690) [2 per cell]
N (0.221, 0.272, 0.888) [2 per cell]
N (0.273, 0.703, 0.165) [2 per cell]
N (0.333, 0.283, 0.516) [2 per cell]

Output
ΔH_f (0 K) ... 0.0629 eV per atom
Crystal system ... triclinic
Spin magnetization ... 0.24 μB per atom



Record 4
DFT (PBE) results for PPb3 after structural relaxation.

Cell lengths 6.6994, 6.6994, 5.7423 Å; angles 90.00, 90.00, 120.00 degrees
Space group P6_3/mmc (No. 194)
Unique sites:
P (0.3333, 0.6667, 0.2500) [2 per cell]
Pb (0.1713, 0.3425, 0.7500) [6 per cell]

Output
Relative energy among the computed polymorphs ... 0.000 eV/atom
ΔH_f (0 K) ... 0.2583 eV per atom
Crystal system ... hexagonal
Spin magnetization ... 0.00 μB per atom



Record 5
DFT (PBE) results for LiZn3 after structural relaxation.

Cell lengths 2.7982, 2.7982, 8.8269 Å; angles 90.00, 90.00, 120.00 degrees
Space group P-6m2 (No. 187)
Unique sites:
Li (0.0000, 0.0000, 0.0000) [1 per cell]
Zn (0.0000, 0.0000, 0.5000) [1 per cell]
Zn (0.6667, 0.3333, 0.2494) [2 per cell]

Output
ΔH_f (0 K) ... -0.0924 eV per atom
Crystal system ... hexagonal
Spin magnetization ... 0.00 μB per atom



Record 6
DFT (PBE) results for TmMg16Al12 after structural relaxation.

Cell lengths 15.2342, 15.2342, 8.8097 Å; angles 90.00, 90.00, 120.00 degrees
Space group R3m (No. 160, hexagonal axes)
Unique sites:
Tm (0.0000, 0.0000, 0.0000) [3 per cell]
Mg (0.0000, 0.0000, 0.3749) [3 per cell]
Mg (0.0058, 0.3067, 0.6773) [18 per cell]
Mg (0.0651, 0.5325, 0.5902) [9 per cell]
Mg (0.2200, 0.1100, 0.8726) [9 per cell]
Mg (0.2199, 0.4398, 0.1571) [9 per cell]
Al (0.0597, 0.1195, 0.6829) [9 per cell]
Al (0.0903, 0.5451, 0.1072) [9 per cell]
Al (0.1537, 0.4860, 0.8545) [18 per cell]

Output
Relative energy among the computed polymorphs ... 0.008 eV/atom
ΔH_f (0 K) ... -0.0602 eV per atom
Crystal system ... trigonal
Spin magnetization ... 0.00 μB per atom



Question: Number 1 is which compound?
Answer: Ac2MgTl